Fe5Ni7S16 after structural relaxation, computed with PBE.

a b c (Å): 6.6470 6.7152 21.9632
angles (deg): 82.05 81.66 60.58
Space group P1 (No. 1)
Unique sites:
Fe 0.0000 0.0000 0.0000 (multiplicity 1)
Fe 0.0062 0.5006 0.5010 (multiplicity 1)
Fe 0.1286 0.6239 0.6233 (multiplicity 1)
Fe 0.2194 0.7213 0.3421 (multiplicity 1)
Fe 0.2507 0.7497 0.7495 (multiplicity 1)
Fe 0.3741 0.8758 0.8762 (multiplicity 1)
Fe 0.4937 0.5006 0.5011 (multiplicity 1)
Fe 0.5017 0.0000 0.0003 (multiplicity 1)
Fe 0.6277 0.1216 0.1219 (multiplicity 1)
Fe 0.7509 0.2495 0.2494 (multiplicity 1)
Ni 0.0004 0.0012 0.4996 (multiplicity 1)
Ni 0.0311 0.5303 0.9056 (multiplicity 1)
Ni 0.2514 0.2496 0.2497 (multiplicity 1)
Ni 0.2511 0.2495 0.7497 (multiplicity 1)
Ni 0.2835 0.7774 0.1568 (multiplicity 1)
Ni 0.4715 0.9685 0.5941 (multiplicity 1)
Ni 0.5009 0.4998 0.9997 (multiplicity 1)
Ni 0.5319 0.0281 0.4064 (multiplicity 1)
Ni 0.7185 0.2221 0.8425 (multiplicity 1)
Ni 0.7510 0.7504 0.2495 (multiplicity 1)
Ni 0.7509 0.7498 0.7497 (multiplicity 1)
Ni 0.7836 0.2778 0.6568 (multiplicity 1)
Ni 0.8768 0.3745 0.3748 (multiplicity 1)
Ni 0.9711 0.4686 0.0940 (multiplicity 1)
S 0.0518 0.0756 0.3102 (multiplicity 1)
S 0.0579 0.5575 0.3113 (multiplicity 1)
S 0.0682 0.5666 0.8058 (multiplicity 1)
S 0.0865 0.0482 0.8108 (multiplicity 1)
S 0.1673 0.2007 0.4404 (multiplicity 1)
S 0.1891 0.6818 0.4408 (multiplicity 1)
S 0.1960 0.1688 0.9395 (multiplicity 1)
S 0.1957 0.7001 0.9388 (multiplicity 1)
S 0.3048 0.8016 0.5605 (multiplicity 1)
S 0.3070 0.3283 0.5610 (multiplicity 1)
S 0.3142 0.8177 0.0563 (multiplicity 1)
S 0.3345 0.3014 0.0603 (multiplicity 1)
S 0.4166 0.4502 0.6887 (multiplicity 1)
S 0.4339 0.9325 0.6937 (multiplicity 1)
S 0.4507 0.9490 0.1875 (multiplicity 1)
S 0.4551 0.4112 0.1881 (multiplicity 1)
S 0.5487 0.5864 0.8110 (multiplicity 1)
S 0.5515 0.0505 0.8115 (multiplicity 1)
S 0.5679 0.0658 0.3056 (multiplicity 1)
S 0.5766 0.5509 0.3101 (multiplicity 1)
S 0.6661 0.6996 0.9391 (multiplicity 1)
S 0.6877 0.1820 0.9431 (multiplicity 1)
S 0.6932 0.2014 0.4400 (multiplicity 1)
S 0.6977 0.6646 0.4410 (multiplicity 1)
S 0.8062 0.3001 0.0605 (multiplicity 1)
S 0.8077 0.8279 0.0601 (multiplicity 1)
S 0.8126 0.3217 0.5561 (multiplicity 1)
S 0.8359 0.8017 0.5603 (multiplicity 1)
S 0.9140 0.9531 0.1882 (multiplicity 1)
S 0.9341 0.4326 0.1941 (multiplicity 1)
S 0.9505 0.4487 0.6880 (multiplicity 1)
S 0.9522 0.9144 0.6886 (multiplicity 1)

Computed properties:
volume = 842.34 Å³ per cell
corrected total energy (MP2020 scheme) = -6.021 eV per atom
formation energy from the elements = -0.700 eV per atom